# 1
Crystalline Ba6La2Fe4O15 at its relaxed geometry. Source: the Materials Project database, functional GGA+U. Values from VASP.

Geometry as Quantum ESPRESSO input:
```
&SYSTEM
  ibrav = 0, nat = 54, ntyp = 4
/
ATOMIC_SPECIES
Ba 137.33 Ba.upf
La 138.91 La.upf
Fe 55.84 Fe.upf
O 16.00 O.upf
CELL_PARAMETERS angstrom
6.044 -10.398 0.000
6.044 10.398 0.000
-0.042 0.000 7.228
ATOMIC_POSITIONS angstrom
Ba 6.044 10.391 0.000
Ba 6.023 -10.391 3.614
Ba 3.408 4.955 2.401
Ba 3.101 1.827 4.808
Ba 5.992 6.773 4.821
Ba 6.023 3.474 7.082
Ba 3.122 -1.827 1.194
Ba 3.387 -4.955 6.015
Ba 8.906 1.821 4.822
Ba 6.044 -3.474 3.468
Ba 6.013 -6.773 1.207
Ba 8.927 -1.821 1.208
La 8.662 4.981 2.423
La 6.019 0.424 2.467
La 5.998 -0.424 6.081
La 8.641 -4.981 6.037
Fe 6.001 6.691 1.210
Fe 3.243 1.841 1.163
Fe 5.995 3.437 3.813
Fe 3.222 -1.841 4.777
Fe 8.828 1.806 1.238
Fe 6.016 -3.437 0.199
Fe 8.807 -1.806 4.852
Fe 5.980 -6.691 4.824
O 4.472 6.343 0.095
O 2.780 3.352 0.089
O 5.966 8.406 1.944
O 1.753 1.008 1.912
O 4.548 4.272 4.911
O 1.732 -1.008 5.526
O 6.133 5.210 2.486
O 4.550 2.456 2.480
O 7.605 6.342 0.309
O 4.397 0.662 0.198
O 2.759 -3.352 3.703
O 4.376 -0.662 3.812
O 7.452 4.253 4.795
O 6.007 1.709 4.854
O 4.529 -2.456 6.095
O 7.546 2.531 2.509
O 6.028 -1.709 1.240
O 4.569 -4.272 1.297
O 7.670 0.650 0.231
O 9.294 3.373 0.337
O 7.649 -0.650 3.845
O 4.451 -6.343 3.710
O 7.525 -2.531 6.123
O 6.112 -5.210 6.100
O 10.318 0.931 1.932
O 7.473 -4.253 1.181
O 5.945 -8.406 5.559
O 10.297 -0.931 5.546
O 9.273 -3.373 3.952
O 7.584 -6.342 3.923
```

## Properties
Calculated formation energy in meV per atom: -2701
Uncorrected energy in eV per atom: -6.781

# 2
Crystalline BaLa2Fe2O7 at its relaxed geometry. Source: the Materials Project database, functional GGA+U. Values from VASP.

Geometry as Quantum ESPRESSO input:
```
&SYSTEM
  ibrav = 0, nat = 12, ntyp = 4
/
ATOMIC_SPECIES
Ba 137.33 Ba.upf
La 138.91 La.upf
Fe 55.84 Fe.upf
O 16.00 O.upf
CELL_PARAMETERS angstrom
-2.000 2.000 10.379
2.000 -2.000 10.379
2.000 2.000 -10.379
ATOMIC_POSITIONS angstrom
Ba 0.000 0.000 0.000
La 0.000 0.000 3.784
La 0.000 0.000 16.974
Fe 0.000 0.000 8.353
Fe 0.000 0.000 12.404
O 2.000 0.000 2.222
O 0.000 0.000 6.104
O 2.000 0.000 8.157
O 0.000 0.000 10.379
O 0.000 2.000 2.222
O 0.000 0.000 14.653
O 0.000 2.000 8.157
```

## Properties
Total moment in μB per atom: 0.8333
Calculated formation energy in meV per atom: -2852
Uncorrected energy in eV per atom: -7.356

# 3
Crystalline Ba5SrLa2Fe4O15 at its relaxed geometry. Source: the Materials Project database, functional GGA+U. Values from VASP.

Geometry as Quantum ESPRESSO input:
```
&SYSTEM
  ibrav = 0, nat = 108, ntyp = 5
/
ATOMIC_SPECIES
Ba 137.33 Ba.upf
Sr 87.62 Sr.upf
La 138.91 La.upf
Fe 55.84 Fe.upf
O 16.00 O.upf
CELL_PARAMETERS angstrom
10.359 -5.974 0.000
10.359 5.974 0.000
-0.075 0.000 14.313
ATOMIC_POSITIONS angstrom
Ba 10.359 -5.968 0.000
Ba 10.321 5.968 7.156
Ba 0.020 0.009 3.575
Ba -0.017 -0.009 10.732
Ba 3.580 0.036 9.433
Ba 8.525 2.852 9.486
Ba 8.611 2.859 2.344
Ba 3.618 -0.036 2.277
Ba 6.908 0.030 7.166
Ba 6.945 -0.030 0.010
Ba 12.123 2.840 5.863
Ba 12.100 2.851 13.065
Ba 8.563 -2.852 2.330
Ba 8.573 -2.859 9.500
Ba 13.785 0.016 3.619
Ba 13.747 -0.016 10.775
Ba 12.085 -2.840 13.019
Ba 12.138 -2.851 5.909
Ba 17.072 0.017 13.072
Ba 17.110 -0.017 5.916
Sr 9.865 0.010 11.820
Sr 9.903 -0.010 4.664
Sr 15.336 2.586 1.085
Sr 15.298 -2.586 8.241
La 5.396 2.601 4.697
La 5.370 2.600 11.792
La 5.358 -2.601 11.853
La 5.407 -2.600 4.636
La 10.788 0.009 8.253
La 15.301 2.607 8.230
La 10.826 -0.009 1.097
La 15.339 -2.607 1.074
Fe 3.658 0.016 13.048
Fe 3.696 -0.016 5.892
Fe 8.460 2.758 13.103
Fe 8.520 2.748 5.906
Fe 6.929 0.025 3.267
Fe 6.891 -0.025 10.423
Fe 12.210 2.792 9.493
Fe 12.255 2.769 2.330
Fe 8.498 -2.758 5.946
Fe 8.483 -2.748 13.062
Fe 13.784 0.015 14.026
Fe 13.822 -0.015 6.870
Fe 16.997 -0.005 2.366
Fe 16.960 0.005 9.522
Fe 12.217 -2.769 9.487
Fe 12.248 -2.792 2.337
O 4.088 1.587 6.806
O 4.078 1.611 13.998
O 6.884 3.226 14.050
O 6.944 3.218 6.833
O 1.901 0.007 12.444
O 1.939 -0.007 5.288
O 9.338 4.243 12.401
O 9.394 4.235 5.213
O 6.043 1.493 2.258
O 6.023 1.448 9.465
O 11.359 4.304 8.826
O 11.406 4.283 1.653
O 7.710 1.554 11.784
O 7.739 1.533 4.599
O 5.147 0.000 4.612
O 5.109 0.000 11.769
O 9.634 1.668 14.120
O 9.670 1.655 6.945
O 4.050 -1.587 13.962
O 4.116 -1.611 6.842
O 13.768 3.244 3.372
O 13.785 3.251 10.453
O 11.062 1.648 3.261
O 11.031 1.644 10.406
O 6.061 -1.448 2.309
O 8.604 0.006 2.224
O 8.566 -0.006 9.381
O 6.005 -1.493 9.415
O 12.938 1.556 8.192
O 12.937 1.484 1.043
O 7.702 -1.533 11.755
O 7.748 -1.554 4.627
O 14.682 1.493 5.869
O 12.126 0.010 5.897
O 12.088 -0.010 13.053
O 14.628 1.453 12.956
O 6.921 -3.226 6.894
O 6.906 -3.218 13.989
O 9.632 -1.655 14.101
O 9.672 -1.668 6.964
O 16.573 1.608 10.465
O 11.024 -1.648 10.418
O 11.069 -1.644 3.250
O 16.622 1.551 3.378
O 15.550 0.061 8.199
O 12.899 -1.484 8.200
O 12.976 -1.556 1.035
O 15.588 -0.061 1.043
O 9.376 -4.243 5.245
O 9.356 -4.235 12.369
O 14.666 -1.453 5.799
O 14.644 -1.493 13.025
O 18.734 0.002 1.687
O 18.696 -0.002 8.843
O 11.368 -4.283 8.809
O 11.396 -4.304 1.669
O 16.585 -1.551 10.534
O 13.730 -3.244 10.529
O 16.611 -1.608 3.309
O 13.823 -3.251 3.297
```

## Properties
Total moment in μB per atom: 0.7407
Calculated formation energy in meV per atom: -2726
Uncorrected energy in eV per atom: -6.797